Entry 1:
Material: RbV2SeO7
Method: DFT, PBE with a Hubbard U
State: optimized geometry

Cell lengths 5.5395, 7.2066, 18.8629 Å; angles 90.00, 90.00, 90.00 degrees
Fractional positions:
O 0.2500 0.6199 0.2262
O 0.0038 0.9322 0.1668
O 0.7500 0.3551 0.4593
O 0.0038 0.5678 0.6668
O 0.7500 0.3801 0.7738
O 0.7500 0.2260 0.6323
O 0.9885 0.9273 0.5989
O 0.0115 0.4273 0.9011
O 0.2500 0.8801 0.7262
O 0.4962 0.5678 0.6668
O 0.4885 0.4273 0.9011
O 0.2500 0.7740 0.3677
O 0.9885 0.5727 0.0989
O 0.4885 0.0727 0.4011
O 0.5038 0.4322 0.3332
O 0.0115 0.0727 0.4011
O 0.5115 0.5727 0.0989
O 0.4962 0.9322 0.1668
O 0.7500 0.1199 0.2738
O 0.2500 0.8551 0.0407
O 0.7500 0.1449 0.9593
O 0.7500 0.2740 0.1323
O 0.5038 0.0678 0.8332
O 0.5115 0.9273 0.5989
O 0.9962 0.4322 0.3332
O 0.2500 0.6449 0.5407
O 0.9962 0.0678 0.8332
O 0.2500 0.7260 0.8677
V 0.2500 0.7303 0.6225
V 0.7500 0.0584 0.1875
V 0.7500 0.2697 0.3775
V 0.2500 0.7697 0.1225
V 0.2500 0.5584 0.3125
V 0.7500 0.4416 0.6875
V 0.2500 0.9416 0.8125
V 0.7500 0.2303 0.8775
Rb 0.2500 0.2529 0.0335
Rb 0.7500 0.7471 0.9665
Rb 0.2500 0.2471 0.5335
Rb 0.7500 0.7529 0.4665
Se 0.7500 0.9835 0.6529
Se 0.2500 0.4835 0.8471
Se 0.7500 0.5165 0.1529
Se 0.2500 0.0165 0.3471

* ΔE_f: -2.13 eV per atom



Entry 2:
Material: LiNiP4O12
Method: DFT, PBE with a Hubbard U
State: optimized geometry

Cell lengths 13.6257, 5.0755, 7.0872 Å; angles 82.46, 90.00, 90.00 degrees
Fractional positions:
O 0.4026 0.6441 0.0220
O 0.7625 0.0462 0.0478
O 0.4886 0.8993 0.5030
O 0.6032 0.2949 0.5080
O 0.6039 0.0291 0.2255
O 0.1141 0.1976 0.0692
O 0.6141 0.8024 0.9308
O 0.3673 0.2739 0.5153
O 0.9026 0.3559 0.9780
O 0.1032 0.7051 0.4920
O 0.1674 0.1830 0.4490
O 0.1039 0.9709 0.7745
O 0.2625 0.9538 0.9522
O 0.2491 0.6006 0.2388
O 0.2107 0.3922 0.7757
O 0.8649 0.0006 0.7625
O 0.7107 0.6078 0.2243
O 0.3129 0.7856 0.5728
O 0.9886 0.1007 0.4970
O 0.8673 0.7261 0.4847
O 0.3649 0.9994 0.2375
O 0.6674 0.8170 0.5510
O 0.8129 0.2144 0.4272
O 0.7491 0.3994 0.7612
P 0.3215 0.7732 0.1162
P 0.5965 0.0202 0.4531
P 0.3764 0.9980 0.4628
P 0.8764 0.0020 0.5372
P 0.8215 0.2268 0.8838
P 0.6715 0.8525 0.1006
P 0.1715 0.1475 0.8994
P 0.0965 0.9798 0.5469
Ni 0.2368 0.4888 0.5087
Ni 0.7368 0.5112 0.4913
Li 0.5094 0.5935 0.8697
Li 0.0094 0.4065 0.1303

* E above lowest polymorph: 52 meV/atom
* ΔE_f: -2.34 eV per atom



Entry 3:
Material: Li2V3TeO8
Method: DFT, PBE with a Hubbard U
State: optimized geometry

Cell lengths 6.0545, 10.4624, 6.2277 Å; angles 106.00, 60.88, 89.90 degrees
Fractional positions:
O 0.3974 0.8662 0.2012
O 0.3811 0.3600 0.2366
O 0.8433 0.8717 0.7703
O 0.3515 0.3687 0.7572
O 0.8874 0.8594 0.2353
O 0.6115 0.1328 0.2412
O 0.0978 0.6335 0.7984
O 0.9015 0.3664 0.2019
O 0.3913 0.8696 0.7568
O 0.6103 0.6405 0.7643
O 0.1588 0.1248 0.2276
O 0.8838 0.3728 0.7733
O 0.1215 0.1402 0.7639
O 0.6052 0.1335 0.7982
O 0.6484 0.6324 0.2388
O 0.1100 0.6257 0.2330
Li 0.1950 0.9356 0.6111
Li 0.6944 0.4353 0.6118
Li 0.8084 0.0646 0.3878
Li 0.3035 0.5644 0.3882
V 0.2487 0.7497 0.9990
V 0.0001 0.5006 0.0010
V 0.2516 0.2498 0.9991
V 0.7479 0.7504 0.0012
V 0.5004 0.0005 0.0000
V 0.7506 0.2502 0.0013
Te 0.2521 0.2505 0.5009
Te 0.7464 0.7501 0.5004

* E above lowest polymorph: 4 meV/atom
* ΔE_f: -2.26 eV per atom



Entry 4:
Material: Rb2Mo2P2O11
Method: DFT, PBE with a Hubbard U
State: optimized geometry

Cell lengths 10.3907, 10.1569, 10.1790 Å; angles 82.29, 90.00, 90.00 degrees
Fractional positions:
O 0.5536 0.2671 0.9332
O 0.8003 0.2001 0.6629
O 0.2133 0.9292 0.0685
O 0.7441 0.4436 0.5059
O 0.5033 0.4725 0.4707
O 0.0606 0.2858 0.6800
O 0.0033 0.5275 0.5293
O 0.5206 0.9751 0.5278
O 0.2640 0.0720 0.8204
O 0.4388 0.2862 0.1793
O 0.6480 0.4262 0.2796
O 0.5606 0.7142 0.3200
O 0.1480 0.5738 0.7204
O 0.1996 0.8001 0.8367
O 0.9388 0.7138 0.8207
O 0.4475 0.7325 0.5670
O 0.5957 0.2470 0.4770
O 0.4964 0.5274 0.0290
O 0.3516 0.5736 0.2206
O 0.4793 0.0250 0.9723
O 0.7358 0.9272 0.6793
O 0.7527 0.4437 0.0014
O 0.9475 0.2675 0.4330
O 0.0536 0.7329 0.0668
O 0.0539 0.8668 0.2554
O 0.7640 0.9280 0.1796
O 0.5539 0.1332 0.7446
O 0.9793 0.9750 0.0277
O 0.2441 0.5564 0.4941
O 0.4466 0.8669 0.7554
O 0.9043 0.2473 0.9772
O 0.2869 0.9286 0.5687
O 0.2527 0.5563 0.9986
O 0.0206 0.0249 0.4722
O 0.7869 0.0714 0.4313
O 0.8516 0.4264 0.7794
O 0.0957 0.7530 0.5230
O 0.2358 0.0728 0.3207
O 0.4043 0.7527 0.0228
O 0.3003 0.7999 0.3371
O 0.9466 0.1331 0.2446
O 0.7133 0.0708 0.9315
O 0.6996 0.1999 0.1633
O 0.9964 0.4726 0.9710
Rb 0.1887 0.2368 0.0344
Rb 0.6887 0.7632 0.9656
Rb 0.0667 0.4922 0.2548
Rb 0.3152 0.2391 0.5438
Rb 0.9999 0.9998 0.7499
Rb 0.5667 0.5078 0.7452
Rb 0.8152 0.7609 0.4562
Rb 0.4999 0.0002 0.2501
P 0.0758 0.8748 0.1038
P 0.4244 0.8745 0.6039
P 0.9244 0.1255 0.3961
P 0.8740 0.3961 0.9326
P 0.3740 0.6039 0.0674
P 0.1260 0.6043 0.5682
P 0.6260 0.3957 0.4318
P 0.5758 0.1252 0.8962
Mo 0.9156 0.3470 0.6127
Mo 0.6772 0.0790 0.6008
Mo 0.1772 0.9210 0.3992
Mo 0.0849 0.6529 0.8860
Mo 0.8231 0.0796 0.1011
Mo 0.4156 0.6530 0.3873
Mo 0.3231 0.9204 0.8989
Mo 0.5849 0.3471 0.1140

* ΔE_f: -2.44 eV per atom